# Rb2MoS3O

A relaxed structure of Rb2MoS3O (GGA+U, the Materials Project database).

Unit cell a=9.6100 b=7.3204 c=11.9131 alpha=90.00 beta=90.00 gamma=90.00
Space group Pnma (No. 62)
Inequivalent atoms, fractional coordinates:
Rb  0.0458  0.2500  0.1916 (multiplicity 4)
Rb  0.1642  0.7500  0.3759 (multiplicity 4)
Mo  0.2414  0.7500  0.0488 (multiplicity 4)
S  0.0182  0.7500  0.0981 (multiplicity 4)
S  0.1564  0.0043  0.6217 (multiplicity 8)
O  0.2425  0.2500  0.4011 (multiplicity 4)

Calculated values
**E_form**: -1.2737 eV per atom


# Li3Mn2P2C2O14

A relaxed structure of Li3Mn2P2C2O14 (GGA+U, the Materials Project database).

Unit cell a=8.1987 b=8.2577 c=8.3456 alpha=92.57 beta=92.48 gamma=103.95
Space group P1 (No. 1)
Inequivalent atoms, fractional coordinates:
Li  0.0000  0.0000  0.0000 (multiplicity 1)
Li  0.0056  0.4957  0.5056 (multiplicity 1)
Li  0.2768  0.7126  0.9889 (multiplicity 1)
Li  0.2901  0.2300  0.5209 (multiplicity 1)
Li  0.7680  0.2441  0.0079 (multiplicity 1)
Li  0.7749  0.7467  0.5035 (multiplicity 1)
Mn  0.3686  0.6023  0.5944 (multiplicity 1)
Mn  0.4108  0.1466  0.9173 (multiplicity 1)
Mn  0.8592  0.1001  0.5841 (multiplicity 1)
Mn  0.9024  0.6412  0.9248 (multiplicity 1)
P  0.1267  0.3545  0.8336 (multiplicity 1)
P  0.1484  0.8815  0.6781 (multiplicity 1)
P  0.6260  0.8670  0.8335 (multiplicity 1)
P  0.6513  0.3866  0.6760 (multiplicity 1)
C  0.3642  0.1063  0.2001 (multiplicity 1)
C  0.4052  0.6417  0.3099 (multiplicity 1)
C  0.8752  0.5993  0.2082 (multiplicity 1)
C  0.9063  0.1358  0.3012 (multiplicity 1)
O  0.0075  0.9233  0.5744 (multiplicity 1)
O  0.0883  0.4996  0.9320 (multiplicity 1)
O  0.0892  0.8234  0.8456 (multiplicity 1)
O  0.1852  0.4125  0.6643 (multiplicity 1)
O  0.1991  0.7375  0.5816 (multiplicity 1)
O  0.2645  0.2973  0.9313 (multiplicity 1)
O  0.2743  0.0104  0.0776 (multiplicity 1)
O  0.2833  0.5275  0.3678 (multiplicity 1)
O  0.2968  0.0414  0.7110 (multiplicity 1)
O  0.3292  0.0905  0.3416 (multiplicity 1)
O  0.4182  0.6742  0.1682 (multiplicity 1)
O  0.4661  0.7186  0.8003 (multiplicity 1)
O  0.4885  0.2182  0.1461 (multiplicity 1)
O  0.5007  0.4302  0.5827 (multiplicity 1)
O  0.5119  0.7207  0.4288 (multiplicity 1)
O  0.5771  0.0119  0.9307 (multiplicity 1)
O  0.5986  0.3167  0.8406 (multiplicity 1)
O  0.6912  0.9185  0.6674 (multiplicity 1)
O  0.7099  0.2632  0.5663 (multiplicity 1)
O  0.7632  0.8223  0.9396 (multiplicity 1)
O  0.7886  0.4941  0.0952 (multiplicity 1)
O  0.7917  0.0153  0.3534 (multiplicity 1)
O  0.7983  0.5475  0.7111 (multiplicity 1)
O  0.8569  0.5841  0.3558 (multiplicity 1)
O  0.9300  0.1609  0.1559 (multiplicity 1)
O  0.9671  0.2058  0.8015 (multiplicity 1)
O  0.9828  0.7242  0.1492 (multiplicity 1)
O  0.9976  0.2333  0.4204 (multiplicity 1)

Calculated values
**E_form**: -2.2613 eV per atom


# MgFe3Ni2SbP6O24

A relaxed structure of MgFe3Ni2SbP6O24 (GGA+U, the Materials Project database).

Unit cell a=8.7639 b=8.7639 c=21.1959 alpha=90.00 beta=90.00 gamma=120.00
Space group R3 (No. 146, hexagonal axes)
Inequivalent atoms, fractional coordinates:
Mg  0.0000  0.0000  0.0000 (multiplicity 3)
Fe  0.0000  0.0000  0.1215 (multiplicity 3)
Fe  0.0000  0.0000  0.2390 (multiplicity 3)
Fe  0.0000  0.0000  0.5190 (multiplicity 3)
Ni  0.0000  0.0000  0.3758 (multiplicity 3)
Ni  0.0000  0.0000  0.8697 (multiplicity 3)
Sb  0.0000  0.0000  0.7218 (multiplicity 3)
P  0.0006  0.6985  0.6189 (multiplicity 9)
P  0.0053  0.3047  0.1210 (multiplicity 9)
O  0.0030  0.1949  0.0636 (multiplicity 9)
O  0.0056  0.1966  0.1794 (multiplicity 9)
O  0.0082  0.8303  0.2980 (multiplicity 9)
O  0.0130  0.1810  0.7955 (multiplicity 9)
O  0.0218  0.7933  0.6832 (multiplicity 9)
O  0.1586  0.6957  0.2319 (multiplicity 9)
O  0.1637  0.6808  0.6047 (multiplicity 9)
O  0.1665  0.4920  0.1152 (multiplicity 9)

Calculated values
**E_form**: -2.2553 eV per atom


# RbV2CrO7

A relaxed structure of RbV2CrO7 (GGA+U, the Materials Project database).

Unit cell a=8.6704 b=4.9557 c=6.9856 alpha=90.00 beta=101.25 gamma=90.00
Space group P2/c (No. 13)
Inequivalent atoms, fractional coordinates:
Rb  0.0000  0.1104  0.2500 (multiplicity 2)
V  0.3332  0.4966  0.1250 (multiplicity 4)
Cr  0.5000  0.0000  0.0000 (multiplicity 2)
O  0.1573  0.3768  0.6202 (multiplicity 4)
O  0.2990  0.1782  0.0216 (multiplicity 4)
O  0.3893  0.3417  0.3886 (multiplicity 4)
O  0.5000  0.2166  0.7500 (multiplicity 2)

Calculated values
**E_form**: -2.3717 eV per atom


# V2ZnCuO7

A relaxed structure of V2ZnCuO7 (GGA+U, the Materials Project database).

Unit cell a=7.7005 b=8.2582 c=10.2324 alpha=90.00 beta=110.43 gamma=90.00
Space group C2 (No. 5)
Inequivalent atoms, fractional coordinates:
V  0.2353  0.0000  0.0396 (multiplicity 4)
V  0.2358  0.5337  0.5422 (multiplicity 4)
Zn  0.1720  0.1919  0.7302 (multiplicity 4)
Cu  0.1881  0.3391  0.2344 (multiplicity 4)
O  0.0000  0.5983  0.5000 (multiplicity 2)
O  0.0000  0.9342  0.0000 (multiplicity 2)
O  0.1144  0.1804  0.3510 (multiplicity 4)
O  0.1182  0.3586  0.8547 (multiplicity 4)
O  0.2218  0.5205  0.1203 (multiplicity 4)
O  0.2231  0.0044  0.6143 (multiplicity 4)
O  0.2342  0.8558  0.3727 (multiplicity 4)
O  0.2389  0.6775  0.8729 (multiplicity 4)

Calculated values
**E_form**: -1.9850 eV per atom


# FeSe2NO8

A relaxed structure of FeSe2NO8 (GGA+U, the Materials Project database).

Unit cell a=5.2187 b=5.2187 c=9.0581 alpha=90.00 beta=90.00 gamma=120.00
Space group P321 (No. 150)
Inequivalent atoms, fractional coordinates:
Fe  0.0000  0.0000  0.0000 (multiplicity 1)
Se  0.3333  0.6667  0.2035 (multiplicity 2)
N  0.0000  0.0000  0.5000 (multiplicity 1)
O  0.0741  0.3356  0.1382 (multiplicity 6)
O  0.3333  0.6667  0.3854 (multiplicity 2)

Calculated values
**E_form**: -0.5087 eV per atom